! BaSm2S4 (r²SCAN, relaxed); values from VASP
! Magnetic moment ... 0.00 Bohr magnetons per cell
! Total DFT energy (no corrections) ... -0.70883 Ha/atom
! SG ... Pnma, No. 62
&SYSTEM
  ibrav = 0, nat = 28, ntyp = 3
/
ATOMIC_SPECIES
Ba 137.33 Ba.upf
Sm 150.36 Sm.upf
S 32.06 S.upf
CELL_PARAMETERS angstrom
12.376 0.000 0.000
0.000 4.144 0.000
0.000 0.000 14.790
ATOMIC_POSITIONS crystal
Ba 0.246 0.250 0.159
Ba 0.254 0.750 0.659
Ba 0.746 0.250 0.341
Ba 0.754 0.750 0.841
Sm 0.075 0.250 0.392
Sm 0.076 0.250 0.896
Sm 0.424 0.750 0.396
Sm 0.425 0.750 0.892
Sm 0.575 0.250 0.108
Sm 0.576 0.250 0.604
Sm 0.924 0.750 0.104
Sm 0.925 0.750 0.608
S 0.017 0.750 0.782
S 0.078 0.250 0.579
S 0.129 0.750 0.021
S 0.211 0.750 0.330
S 0.289 0.250 0.830
S 0.371 0.250 0.521
S 0.422 0.750 0.079
S 0.483 0.250 0.282
S 0.517 0.750 0.718
S 0.578 0.250 0.921
S 0.629 0.750 0.479
S 0.711 0.750 0.170
S 0.789 0.250 0.670
S 0.871 0.250 0.979
S 0.922 0.750 0.421
S 0.983 0.250 0.218

***

! SiO2 (r²SCAN, relaxed); values from VASP
! Magnetic moment ... 0.00 Bohr magnetons per cell
! Total DFT energy (no corrections) ... -0.36462 Ha/atom
! SG ... Ia-3d, No. 230
&SYSTEM
  ibrav = 0, nat = 72, ntyp = 2
/
ATOMIC_SPECIES
Si 28.09 Si.upf
O 16.00 O.upf
CELL_PARAMETERS angstrom
-6.766 6.766 6.766
6.766 -6.766 6.766
6.766 6.766 -6.766
ATOMIC_POSITIONS crystal
Si 0.036 0.073 0.786
Si 0.036 0.464 0.250
Si 0.073 0.786 0.036
Si 0.214 0.750 0.286
Si 0.214 0.964 0.927
Si 0.250 0.036 0.464
Si 0.250 0.714 0.786
Si 0.286 0.214 0.750
Si 0.286 0.573 0.536
Si 0.427 0.464 0.714
Si 0.464 0.250 0.036
Si 0.464 0.714 0.427
Si 0.536 0.286 0.573
Si 0.536 0.750 0.964
Si 0.573 0.536 0.286
Si 0.714 0.427 0.464
Si 0.714 0.786 0.250
Si 0.750 0.286 0.214
Si 0.750 0.964 0.536
Si 0.786 0.036 0.073
Si 0.786 0.250 0.714
Si 0.927 0.214 0.964
Si 0.964 0.536 0.750
Si 0.964 0.927 0.214
O 0.026 0.172 0.912
O 0.026 0.354 0.114
O 0.088 0.614 0.260
O 0.088 0.974 0.828
O 0.114 0.026 0.354
O 0.114 0.588 0.760
O 0.146 0.172 0.760
O 0.146 0.474 0.386
O 0.172 0.760 0.146
O 0.172 0.912 0.026
O 0.240 0.854 0.828
O 0.240 0.886 0.412
O 0.260 0.088 0.614
O 0.260 0.672 0.646
O 0.328 0.354 0.740
O 0.328 0.474 0.588
O 0.354 0.114 0.026
O 0.354 0.740 0.328
O 0.386 0.146 0.474
O 0.386 0.740 0.912
O 0.412 0.240 0.886
O 0.412 0.672 0.526
O 0.474 0.386 0.146
O 0.474 0.588 0.328
O 0.526 0.412 0.672
O 0.526 0.614 0.854
O 0.588 0.328 0.474
O 0.588 0.760 0.114
O 0.614 0.260 0.088
O 0.614 0.854 0.526
O 0.646 0.260 0.672
O 0.646 0.886 0.974
O 0.672 0.526 0.412
O 0.672 0.646 0.260
O 0.740 0.328 0.354
O 0.740 0.912 0.386
O 0.760 0.114 0.588
O 0.760 0.146 0.172
O 0.828 0.088 0.974
O 0.828 0.240 0.854
O 0.854 0.526 0.614
O 0.854 0.828 0.240
O 0.886 0.412 0.240
O 0.886 0.974 0.646
O 0.912 0.026 0.172
O 0.912 0.386 0.740
O 0.974 0.646 0.886
O 0.974 0.828 0.088

***

! Ba3P4O13 (r²SCAN, relaxed); values from VASP
! Magnetic moment ... 0.00 Bohr magnetons per cell
! Total DFT energy (no corrections) ... -0.46119 Ha/atom
! SG ... P-1, No. 2
&SYSTEM
  ibrav = 0, nat = 40, ntyp = 3
/
ATOMIC_SPECIES
Ba 137.33 Ba.upf
P 30.97 P.upf
O 16.00 O.upf
CELL_PARAMETERS angstrom
7.606 0.000 0.000
-1.879 8.470 0.000
-2.673 -3.956 9.489
ATOMIC_POSITIONS crystal
Ba 0.000 0.000 0.000
Ba 0.133 0.222 0.729
Ba 0.352 0.771 0.771
Ba 0.500 0.000 0.500
Ba 0.648 0.229 0.229
Ba 0.867 0.778 0.271
P 0.163 0.539 0.366
P 0.172 0.203 0.363
P 0.341 0.817 0.145
P 0.347 0.479 0.135
P 0.653 0.521 0.865
P 0.659 0.183 0.855
P 0.828 0.797 0.637
P 0.837 0.461 0.634
O 0.033 0.885 0.740
O 0.038 0.516 0.731
O 0.194 0.407 0.438
O 0.202 0.834 0.224
O 0.204 0.142 0.484
O 0.216 0.307 0.030
O 0.234 0.712 0.483
O 0.300 0.612 0.069
O 0.307 0.537 0.280
O 0.310 0.881 0.027
O 0.320 0.199 0.292
O 0.444 0.499 0.822
O 0.450 0.106 0.757
O 0.550 0.894 0.243
O 0.556 0.501 0.178
O 0.680 0.801 0.708
O 0.690 0.119 0.973
O 0.693 0.463 0.720
O 0.700 0.388 0.931
O 0.766 0.288 0.517
O 0.784 0.693 0.970
O 0.796 0.858 0.516
O 0.798 0.166 0.776
O 0.806 0.593 0.562
O 0.962 0.484 0.269
O 0.967 0.115 0.260

***

! CsPb2Br5 (r²SCAN, relaxed); values from VASP
! Magnetic moment ... 0.00 Bohr magnetons per cell
! Total DFT energy (no corrections) ... -0.98646 Ha/atom
! SG ... I4/mcm, No. 140
&SYSTEM
  ibrav = 0, nat = 16, ntyp = 3
/
ATOMIC_SPECIES
Cs 132.91 Cs.upf
Pb 207.20 Pb.upf
Br 79.90 Br.upf
CELL_PARAMETERS angstrom
-4.269 4.269 7.793
4.269 -4.269 7.793
4.269 4.269 -7.793
ATOMIC_POSITIONS crystal
Cs 0.250 0.250 0.000
Cs 0.750 0.750 0.000
Pb 0.167 0.667 0.835
Pb 0.333 0.167 0.500
Pb 0.667 0.833 0.500
Pb 0.833 0.333 0.165
Br 0.000 0.000 0.000
Br 0.027 0.220 0.500
Br 0.220 0.720 0.192
Br 0.280 0.473 0.500
Br 0.473 0.973 0.192
Br 0.500 0.500 0.000
Br 0.527 0.027 0.808
Br 0.720 0.527 0.500
Br 0.780 0.280 0.808
Br 0.973 0.780 0.500

***

! B (r²SCAN, relaxed); values from VASP
! Magnetic moment ... 0.00 Bohr magnetons per cell
! Total DFT energy (no corrections) ... -0.26925 Ha/atom
! SG ... R-3m, No. 166
&SYSTEM
  ibrav = 0, nat = 105, ntyp = 1
/
ATOMIC_SPECIES
B 10.81 B.upf
CELL_PARAMETERS angstrom
5.451 3.147 7.886
-5.451 3.147 7.886
0.000 -6.294 7.886
ATOMIC_POSITIONS crystal
B 0.000 0.000 0.000
B 0.006 0.699 0.699
B 0.010 0.396 0.396
B 0.011 0.011 0.279
B 0.011 0.279 0.011
B 0.051 0.395 0.666
B 0.051 0.666 0.395
B 0.067 0.885 0.885
B 0.080 0.596 0.864
B 0.080 0.864 0.596
B 0.115 0.115 0.115
B 0.115 0.115 0.933
B 0.115 0.933 0.115
B 0.119 0.119 0.286
B 0.119 0.286 0.119
B 0.124 0.300 0.816
B 0.124 0.816 0.300
B 0.136 0.404 0.920
B 0.136 0.920 0.404
B 0.152 0.324 0.496
B 0.152 0.496 0.324
B 0.162 0.496 0.496
B 0.184 0.700 0.876
B 0.184 0.876 0.700
B 0.187 0.699 0.699
B 0.279 0.011 0.011
B 0.286 0.119 0.119
B 0.300 0.124 0.816
B 0.300 0.816 0.124
B 0.301 0.301 0.813
B 0.301 0.301 0.994
B 0.301 0.813 0.301
B 0.301 0.994 0.301
B 0.324 0.152 0.496
B 0.324 0.496 0.152
B 0.334 0.605 0.949
B 0.334 0.949 0.605
B 0.337 0.497 0.497
B 0.341 0.600 0.600
B 0.395 0.051 0.666
B 0.395 0.666 0.051
B 0.396 0.010 0.396
B 0.396 0.396 0.010
B 0.400 0.400 0.659
B 0.400 0.659 0.400
B 0.404 0.136 0.920
B 0.404 0.920 0.136
B 0.496 0.152 0.324
B 0.496 0.162 0.496
B 0.496 0.324 0.152
B 0.496 0.496 0.162
B 0.497 0.337 0.497
B 0.497 0.497 0.337
B 0.503 0.503 0.663
B 0.503 0.663 0.503
B 0.504 0.504 0.838
B 0.504 0.676 0.848
B 0.504 0.838 0.504
B 0.504 0.848 0.676
B 0.596 0.080 0.864
B 0.596 0.864 0.080
B 0.600 0.341 0.600
B 0.600 0.600 0.341
B 0.604 0.604 0.990
B 0.604 0.990 0.604
B 0.605 0.334 0.949
B 0.605 0.949 0.334
B 0.659 0.400 0.400
B 0.663 0.503 0.503
B 0.666 0.051 0.395
B 0.666 0.395 0.051
B 0.676 0.504 0.848
B 0.676 0.848 0.504
B 0.699 0.006 0.699
B 0.699 0.187 0.699
B 0.699 0.699 0.006
B 0.699 0.699 0.187
B 0.700 0.184 0.876
B 0.700 0.876 0.184
B 0.714 0.881 0.881
B 0.721 0.989 0.989
B 0.813 0.301 0.301
B 0.816 0.124 0.300
B 0.816 0.300 0.124
B 0.838 0.504 0.504
B 0.848 0.504 0.676
B 0.848 0.676 0.504
B 0.864 0.080 0.596
B 0.864 0.596 0.080
B 0.876 0.184 0.700
B 0.876 0.700 0.184
B 0.881 0.714 0.881
B 0.881 0.881 0.714
B 0.885 0.067 0.885
B 0.885 0.885 0.067
B 0.885 0.885 0.885
B 0.920 0.136 0.404
B 0.920 0.404 0.136
B 0.933 0.115 0.115
B 0.949 0.334 0.605
B 0.949 0.605 0.334
B 0.989 0.721 0.989
B 0.989 0.989 0.721
B 0.990 0.604 0.604
B 0.994 0.301 0.301

***

! Ce2Al3Ge4 (r²SCAN, relaxed); values from VASP
! Magnetic moment ... 4.37 Bohr magnetons per cell
! Total DFT energy (no corrections) ... -0.58001 Ha/atom
! SG ... Cmce, No. 64
&SYSTEM
  ibrav = 0, nat = 18, ntyp = 3
/
ATOMIC_SPECIES
Ce 140.12 Ce.upf
Al 26.98 Al.upf
Ge 72.64 Ge.upf
CELL_PARAMETERS angstrom
3.007 -7.531 0.000
3.007 7.531 0.000
0.000 0.000 7.997
ATOMIC_POSITIONS crystal
Ce 0.114 0.886 0.920
Ce 0.386 0.614 0.420
Ce 0.614 0.386 0.580
Ce 0.886 0.114 0.080
Al 0.000 0.000 0.500
Al 0.034 0.466 0.750
Al 0.466 0.034 0.250
Al 0.500 0.500 0.000
Al 0.534 0.966 0.750
Al 0.966 0.534 0.250
Ge 0.186 0.814 0.554
Ge 0.202 0.298 0.750
Ge 0.298 0.202 0.250
Ge 0.314 0.686 0.054
Ge 0.686 0.314 0.946
Ge 0.702 0.798 0.750
Ge 0.798 0.702 0.250
Ge 0.814 0.186 0.446

***

no.,energy of formation (eV/atom)
1,-2.416
2,-3.016
3,-2.892
4,-1.346
5,0.020
6,-0.520